# 1
## BaCaLaBiO6 (PBE-GGA)

Data for BaCaLaBiO6 after structural relaxation.

a = 8.6237 Å, b = 8.6477 Å, c = 8.5892 Å
α = 90.00°, β = 90.00°, γ = 90.00°
Last column: nearest neighbours and their distance in Å.
Element x y z (fractional)
La1 0.0000 0.5000 0.0000  4 O 2.41
La2 0.5000 0.0000 0.5000  4 O 2.41
La3 0.0000 0.5000 0.5000  4 O 2.45
La4 0.5000 0.0000 0.0000  4 O 2.45
Ca1 0.2500 0.7500 0.7500  6 O 2.27-2.34
Ca2 0.7500 0.7500 0.2500  6 O 2.27-2.34
Ca3 0.2500 0.2500 0.2500  6 O 2.27-2.34
Ca4 0.7500 0.2500 0.7500  6 O 2.27-2.34
O1 0.2014 0.6938 0.0112  1 Bi 2.15, 1 Ca 2.33
O2 0.9905 0.7753 0.7134  1 Bi 2.11, 1 Ca 2.27
O3 0.2887 0.9894 0.1902  1 Bi 2.16, 1 Ca 2.34
O4 0.2987 0.8062 0.4888  1 Bi 2.15, 1 Ca 2.33
O5 0.2887 0.0106 0.8098  1 Bi 2.16, 1 Ca 2.34
O6 0.7887 0.5106 0.6902  1 Bi 2.16, 1 Ca 2.34
O7 0.5095 0.7247 0.7866  1 Bi 2.11, 1 Ca 2.27
O8 0.7014 0.8062 0.5112  1 Bi 2.15, 1 Ca 2.33
O9 0.2113 0.4894 0.6902  1 Bi 2.16, 1 Ca 2.34
O10 0.0095 0.2247 0.7134  1 Bi 2.11, 1 Ca 2.27
O11 0.7113 0.9894 0.8098  1 Bi 2.16, 1 Ca 2.34
O12 0.9905 0.2247 0.2866  1 Bi 2.11, 1 Ca 2.27
O13 0.4905 0.2753 0.7866  1 Bi 2.11, 1 Ca 2.27
O14 0.7887 0.4894 0.3098  1 Bi 2.16, 1 Ca 2.34
O15 0.0095 0.7753 0.2866  1 Bi 2.11, 1 Ca 2.27
O16 0.7014 0.1938 0.4888  1 Bi 2.15, 1 Ca 2.33
O17 0.7113 0.0106 0.1902  1 Bi 2.16, 1 Ca 2.34
O18 0.7986 0.3062 0.0112  1 Bi 2.15, 1 Ca 2.33
O19 0.2987 0.1938 0.5112  1 Bi 2.15, 1 Ca 2.33
O20 0.7986 0.6938 0.9888  1 Bi 2.15, 1 Ca 2.33
O21 0.2113 0.5106 0.3098  1 Bi 2.16, 1 Ca 2.34
O22 0.4905 0.7247 0.2134  1 Bi 2.11, 1 Ca 2.27
O23 0.5095 0.2753 0.2134  1 Bi 2.11, 1 Ca 2.27
O24 0.2014 0.3062 0.9888  1 Bi 2.15, 1 Ca 2.33
Ba1 0.0000 0.0000 0.0000  12 O 2.98-3.17
Ba2 0.5000 0.5000 0.5000  12 O 2.98-3.17
Ba3 0.5000 0.5000 0.0000  4 O 2.67
Ba4 0.0000 0.0000 0.5000  4 O 2.67
Bi1 0.7500 0.2500 0.2500  6 O 2.11-2.16
Bi2 0.2500 0.2500 0.7500  6 O 2.11-2.16
Bi3 0.7500 0.7500 0.7500  6 O 2.11-2.16
Bi4 0.2500 0.7500 0.2500  6 O 2.11-2.16

## Properties
* crystal system: orthorhombic
* energy of formation from the pure elements: -2.78 eV per atom
* energy: -6.61 eV/atom
* size of the total moment: 0.000 μB per atom

# 2
## AgSO4 (PBE-GGA)

Data for AgSO4 after structural relaxation.

a = 7.8792 Å, b = 10.6775 Å, c = 15.2067 Å
α = 88.63°, β = 90.00°, γ = 90.00°
Last column: nearest neighbours and their distance in Å.
Element x y z (fractional)
O1 0.0881 0.8955 0.5294  1 S 1.51
O2 0.7347 0.7534 0.6436  1 S 1.48
O3 0.9151 0.8896 0.2577  1 S 1.48
O4 0.7395 0.2892 0.1435  1 S 1.51
O5 0.4151 0.6104 0.7423  1 S 1.48
O6 0.2463 0.8720 0.6630  1 S 1.45
O7 0.3923 0.6357 0.2444  1 S 1.48
O8 0.9021 0.4004 0.2509  1 S 1.49
O9 0.4245 0.1486 0.2419  1 S 1.48
O10 0.4086 0.8385 0.0331  1 S 1.53
O11 0.5970 0.6378 0.9692  1 S 1.50
O12 0.9086 0.6615 0.9669  1 S 1.53
O13 0.2320 0.9809 0.8523  1 S 1.50
O14 0.5881 0.6045 0.4706  1 S 1.51
O15 0.7759 0.4551 0.9478  1 S 1.50
O16 0.2759 0.0449 0.0522  1 S 1.50
O17 0.7280 0.9829 0.6515  1 S 1.53
O18 0.2653 0.2466 0.3564  1 S 1.48
O19 0.2680 0.4809 0.8523  1 S 1.50
O20 0.2684 0.1947 0.5626  1 S 1.52
O21 0.9019 0.6213 0.4736  1 S 1.49
O22 0.2553 0.8774 0.1658  1 S 1.45
O23 0.2447 0.3774 0.1658  1 S 1.45
O24 0.7447 0.1226 0.8342  1 S 1.45
O25 0.0755 0.6486 0.2419  1 S 1.48
O26 0.7653 0.2534 0.6436  1 S 1.48
O27 0.5981 0.1213 0.4736  1 S 1.49
O28 0.7463 0.6280 0.3370  1 S 1.45
O29 0.0970 0.8622 0.0308  1 S 1.50
O30 0.7605 0.7892 0.1435  1 S 1.51
O31 0.8923 0.8643 0.7556  1 S 1.48
O32 0.7720 0.4829 0.6515  1 S 1.53
O33 0.5979 0.9004 0.2509  1 S 1.49
O34 0.2347 0.7466 0.3564  1 S 1.48
O35 0.2537 0.3720 0.6630  1 S 1.45
O36 0.1077 0.1357 0.2444  1 S 1.48
O37 0.0914 0.3385 0.0331  1 S 1.53
O38 0.0981 0.3787 0.5264  1 S 1.49
O39 0.4119 0.3955 0.5294  1 S 1.51
O40 0.4021 0.0996 0.7491  1 S 1.49
O41 0.2395 0.2108 0.8565  1 S 1.51
O42 0.5755 0.8514 0.7581  1 S 1.48
O43 0.2280 0.5171 0.3485  1 S 1.53
O44 0.4019 0.8787 0.5264  1 S 1.49
O45 0.9030 0.1378 0.9692  1 S 1.50
O46 0.4030 0.3622 0.0308  1 S 1.50
O47 0.5849 0.3896 0.2577  1 S 1.48
O48 0.6077 0.3643 0.7556  1 S 1.48
O49 0.5914 0.1615 0.9669  1 S 1.53
O50 0.9119 0.1045 0.4706  1 S 1.51
O51 0.7537 0.1280 0.3370  1 S 1.45
O52 0.2605 0.7108 0.8565  1 S 1.51
O53 0.7316 0.8053 0.4374  1 S 1.52
O54 0.0849 0.1104 0.7423  1 S 1.48
O55 0.2720 0.0171 0.3485  1 S 1.53
O56 0.0979 0.5996 0.7491  1 S 1.49
O57 0.7680 0.0191 0.1477  1 S 1.50
O58 0.2241 0.5449 0.0522  1 S 1.50
O59 0.7684 0.3053 0.4374  1 S 1.52
O60 0.7553 0.6226 0.8342  1 S 1.45
O61 0.7241 0.9551 0.9478  1 S 1.50
O62 0.9245 0.3514 0.7581  1 S 1.48
O63 0.2316 0.6947 0.5626  1 S 1.52
O64 0.7320 0.5191 0.1477  1 S 1.50
Ag1 0.9902 0.1544 0.1104  5 O 2.24-2.50
Ag2 0.4902 0.3456 0.8896  5 O 2.24-2.50
Ag3 0.0098 0.8456 0.8896  5 O 2.24-2.50
Ag4 0.5109 0.5949 0.6088  2 O 2.17-2.19
Ag5 0.5033 0.0978 0.6135  4 O 2.21-2.26
Ag6 0.5107 0.1529 0.1061  4 O 2.17-2.39
Ag7 0.9893 0.6529 0.1061  4 O 2.17-2.39
Ag8 0.0033 0.4022 0.3865  4 O 2.21-2.26
Ag9 0.4893 0.8471 0.8939  4 O 2.17-2.39
Ag10 0.4891 0.4051 0.3912  2 O 2.17-2.19
Ag11 0.5098 0.6544 0.1104  5 O 2.24-2.50
Ag12 0.9891 0.0949 0.6088  2 O 2.17-2.19
Ag13 0.4967 0.9022 0.3865  4 O 2.21-2.26
Ag14 0.9967 0.5978 0.6135  4 O 2.21-2.26
Ag15 0.0107 0.3471 0.8939  4 O 2.17-2.39
Ag16 0.0109 0.9051 0.3912  2 O 2.17-2.19
S1 0.7430 0.6637 0.4281  4 O 1.45-1.52
S2 0.7384 0.4005 0.2024  4 O 1.48-1.51
S3 0.2570 0.3363 0.5719  4 O 1.45-1.52
S4 0.2430 0.8363 0.5719  4 O 1.45-1.52
S5 0.2327 0.6409 0.2954  4 O 1.48-1.53
S6 0.2673 0.1409 0.2954  4 O 1.48-1.53
S7 0.2574 0.9074 0.0726  4 O 1.45-1.53
S8 0.7327 0.8591 0.7046  4 O 1.48-1.53
S9 0.7616 0.9005 0.2024  4 O 1.48-1.51
S10 0.2384 0.0995 0.7976  4 O 1.48-1.51
S11 0.7570 0.1637 0.4281  4 O 1.45-1.52
S12 0.2616 0.5995 0.7976  4 O 1.48-1.51
S13 0.2426 0.4074 0.0726  4 O 1.45-1.53
S14 0.7574 0.5926 0.9274  4 O 1.45-1.53
S15 0.7673 0.3591 0.7046  4 O 1.48-1.53
S16 0.7426 0.0926 0.9274  4 O 1.45-1.53

## Properties
* crystal system: monoclinic
* energy of formation from the pure elements: -1.34 eV per atom
* energy: -5.34 eV/atom
* size of the total moment: 0.000 μB per atom

- Number 2 is which compound?
  AgSO4